Here is CaLaMgTaO6 after structural relaxation from Materials Project. Energies are from PBE.

Geometry as POSCAR:
```
CaLaMgTaO6
1.0
5.5859 0.0000 0.0000
0.0000 5.7276 0.0000
-5.5846 0.0000 7.9071
Ca La Mg Ta O
2 2 2 2 12
direct
0.0000 0.2044 0.0000
0.0000 0.7956 0.5000
0.4861 0.2999 0.4988
0.4861 0.7001 0.9988
0.2452 0.2464 0.7510
0.2452 0.7536 0.2510
0.7456 0.2430 0.2504
0.7456 0.7570 0.7504
0.0833 0.0537 0.2942
0.0833 0.9463 0.7942
0.4108 0.4391 0.2074
0.4108 0.5609 0.7074
0.5144 0.0470 0.7082
0.5144 0.9530 0.2082
0.5894 0.2747 0.0062
0.5894 0.7253 0.5062
0.9065 0.2177 0.4960
0.9065 0.7823 0.9960
0.9875 0.4645 0.7993
0.9875 0.5355 0.2993
```

The final energy is -8.1358 eV per atom. The space-group type is Pc. As for the magnetic moment: 0.00 μB/cell.

Here is Ca6La14Mg7Ti13O60 after structural relaxation from Materials Project. Energies are from PBE.

Geometry as POSCAR:
```
Ca6La14Mg7Ti13O60
1.0
5.5673 0.0000 0.0000
0.0377 5.6019 0.0000
0.0162 0.0884 39.4158
Ca La Mg Ti O
6 14 7 13 60
direct
0.0000 0.0000 0.0000
0.0001 0.0007 0.8066
0.0086 0.9956 0.4022
0.0087 0.9972 0.6019
0.5129 0.5704 0.3049
0.5141 0.5722 0.5042
0.0007 0.0562 0.9034
0.0041 0.0056 0.1995
0.0036 0.0532 0.0976
0.4892 0.4777 0.0010
0.4906 0.4788 0.8056
0.4907 0.4949 0.4008
0.4918 0.4964 0.6000
0.4917 0.5020 0.2004
0.5088 0.5614 0.7058
0.5115 0.5723 0.0997
0.5161 0.5752 0.9033
0.9946 0.0574 0.5054
0.9948 0.0576 0.3062
0.9968 0.0562 0.7073
0.5005 0.0285 0.9535
0.5002 0.0295 0.3534
0.4999 0.0299 0.5526
0.5002 0.0318 0.1514
0.5007 0.0281 0.8524
0.5008 0.0300 0.0509
0.5019 0.0291 0.7551
0.9996 0.5323 0.3533
0.9995 0.5324 0.5530
0.0003 0.5338 0.7563
0.0009 0.5290 0.1502
0.0038 0.5318 0.9528
0.0046 0.5322 0.8539
0.4963 0.0241 0.4523
0.4973 0.0279 0.2538
0.4974 0.0283 0.6516
0.9966 0.5271 0.4535
0.9970 0.5291 0.2538
0.9974 0.5300 0.6530
0.9994 0.5322 0.0489
0.0807 0.5192 0.6995
0.0836 0.5164 0.1045
0.0884 0.5155 0.9026
0.0904 0.5151 0.3021
0.0913 0.5154 0.5011
0.2042 0.2574 0.0447
0.2067 0.2559 0.3619
0.2071 0.2563 0.5614
0.2069 0.2594 0.9622
0.2077 0.2587 0.7590
0.2077 0.2602 0.8429
0.2216 0.2560 0.4432
0.2228 0.2664 0.1637
0.2258 0.2577 0.2445
0.2286 0.2587 0.6427
0.2652 0.7487 0.1636
0.2673 0.7401 0.0453
0.2681 0.7438 0.7582
0.2680 0.7446 0.3612
0.2684 0.7449 0.5606
0.2691 0.7401 0.8431
0.2687 0.7397 0.9619
0.2691 0.7608 0.2440
0.2741 0.7573 0.4430
0.2753 0.7568 0.6430
0.4083 0.0033 0.9028
0.4115 0.0031 0.1025
0.4182 0.0111 0.5000
0.4187 0.0104 0.3009
0.4254 0.0197 0.6996
0.5782 0.0464 0.2057
0.5903 0.0538 0.6046
0.5899 0.0553 0.4053
0.5986 0.0730 0.0027
0.5987 0.0737 0.8029
0.7282 0.3139 0.4620
0.7278 0.3221 0.3437
0.7283 0.3226 0.5432
0.7301 0.3071 0.2625
0.7300 0.3247 0.8620
0.7307 0.3096 0.6607
0.7311 0.3236 0.9433
0.7323 0.3213 0.0635
0.7353 0.3169 0.7415
0.7360 0.3144 0.1468
0.7729 0.8008 0.6609
0.7740 0.8048 0.2620
0.7754 0.8046 0.4616
0.7789 0.7955 0.7414
0.7821 0.7961 0.0632
0.7849 0.8023 0.3440
0.7855 0.8025 0.5434
0.7880 0.8009 0.1465
0.7880 0.8008 0.9434
0.7890 0.8014 0.8618
0.9129 0.5574 0.0030
0.9163 0.5570 0.8016
0.9180 0.5523 0.4035
0.9191 0.5524 0.6026
0.9206 0.5437 0.2057
```

The final energy is -8.1275 eV per atom. The space-group type is P1. As for the magnetic moment: 0.00 μB/cell.

Here is Ca14La6Mg3Ti17O60 after structural relaxation from Materials Project. Energies are from PBE.

Geometry as POSCAR:
```
Ca14La6Mg3Ti17O60
1.0
5.4808 0.0000 0.0000
0.0083 5.5482 0.0000
0.0162 0.0656 38.9292
Ca La Mg Ti O
14 6 3 17 60
direct
0.0000 0.0000 0.0000
0.0000 0.0001 0.2003
0.0032 0.0036 0.6009
0.0043 0.0035 0.7992
0.0261 0.0836 0.7004
0.0288 0.0848 0.5014
0.5027 0.5831 0.7004
0.5043 0.5828 0.5015
0.5231 0.5050 0.7991
0.5273 0.5043 0.6010
0.5271 0.5073 0.0004
0.5274 0.5074 0.2007
0.5315 0.5055 0.4022
0.9985 0.0005 0.4017
0.0239 0.0765 0.9032
0.0257 0.0777 0.1037
0.0262 0.0776 0.3042
0.5073 0.5738 0.9033
0.5093 0.5730 0.1039
0.5095 0.5727 0.3043
0.0156 0.5443 0.1533
0.0156 0.5439 0.9533
0.0157 0.5447 0.3537
0.0049 0.5391 0.7502
0.0113 0.5478 0.8493
0.0159 0.5439 0.0493
0.0173 0.5424 0.6499
0.0173 0.5477 0.5497
0.0175 0.5441 0.2495
0.0238 0.5366 0.4501
0.5098 0.0419 0.7492
0.5111 0.0427 0.6501
0.5134 0.0369 0.4523
0.5150 0.0478 0.8488
0.5155 0.0439 0.1551
0.5158 0.0440 0.3559
0.5158 0.0438 0.9544
0.5166 0.0441 0.0505
0.5183 0.0439 0.2509
0.5241 0.0455 0.5510
0.0981 0.5643 0.6029
0.0997 0.5653 0.8013
0.1063 0.5715 0.4051
0.1065 0.5720 0.2042
0.1070 0.5725 0.0040
0.2300 0.8254 0.5435
0.2349 0.8256 0.6610
0.2357 0.8298 0.7429
0.2368 0.8298 0.4623
0.2388 0.8196 0.8597
0.2412 0.8233 0.0610
0.2407 0.8231 0.2613
0.2409 0.8305 0.9423
0.2422 0.8312 0.1427
0.2426 0.8310 0.3433
0.2924 0.3184 0.8597
0.2940 0.3199 0.0606
0.2937 0.3201 0.2609
0.2959 0.3258 0.5435
0.2969 0.3247 0.6610
0.2974 0.3278 0.4623
0.2998 0.3162 0.9421
0.3006 0.3161 0.1426
0.3005 0.3156 0.3431
0.3014 0.3274 0.7428
0.4232 0.0693 0.2027
0.4237 0.0693 0.0023
0.4252 0.0700 0.4038
0.4309 0.0645 0.6026
0.4314 0.0646 0.8014
0.5913 0.0303 0.8999
0.5929 0.0328 0.1002
0.5928 0.0327 0.3006
0.6001 0.0231 0.7022
0.5999 0.0243 0.5029
0.7200 0.7659 0.9599
0.7205 0.7667 0.1603
0.7205 0.7667 0.3609
0.7303 0.7666 0.4437
0.7311 0.7631 0.5613
0.7322 0.7617 0.6433
0.7324 0.7659 0.2425
0.7327 0.7657 0.0423
0.7343 0.7621 0.8419
0.7361 0.7636 0.7607
0.7889 0.2531 0.1601
0.7891 0.2532 0.3607
0.7891 0.2528 0.9596
0.7931 0.2606 0.5613
0.7945 0.2612 0.8419
0.7945 0.2621 0.0419
0.7940 0.2619 0.2422
0.7981 0.2615 0.6433
0.7993 0.2641 0.4436
0.7994 0.2648 0.7607
0.9295 0.5235 0.5035
0.9327 0.5239 0.7024
0.9373 0.5294 0.2999
0.9376 0.5295 0.0995
0.9391 0.5303 0.8986
```

The final energy is -8.1107 eV per atom. The space-group type is P1. As for the magnetic moment: 0.00 μB/cell.

Here is Ca2La2MgTi3O12 after structural relaxation from Materials Project. Energies are from PBE.

Geometry as POSCAR:
```
Ca2La2MgTi3O12
1.0
5.5258 0.0000 0.0000
0.0093 5.5650 0.0000
0.0058 0.0076 7.8286
Ca La Mg Ti O
2 2 1 3 12
direct
0.0000 0.0000 0.0000
0.4950 0.4327 0.4836
0.0093 0.9444 0.4807
0.5157 0.5012 0.0036
0.5058 0.9697 0.2416
0.0061 0.4679 0.2424
0.0072 0.4689 0.7410
0.5064 0.9712 0.7432
0.0805 0.4509 0.9879
0.2147 0.1909 0.2798
0.2231 0.1892 0.7010
0.2838 0.6746 0.2827
0.2864 0.6822 0.6985
0.4256 0.9512 0.9807
0.5813 0.9863 0.5024
0.7268 0.2515 0.7833
0.7308 0.2588 0.2039
0.7913 0.7499 0.7846
0.8005 0.7469 0.2003
0.9241 0.4815 0.4958
```

The final energy is -8.1228 eV per atom. The space-group type is P1. As for the magnetic moment: 0.00 μB/cell. Its relative energy among the computed polymorphs is 0.0000 eV per atom.